Record 1
Below is Li4MnCo2O7 after structural relaxation, with properties calculated at the PBE+U level.

## Properties
**ρ**: 4.130 g cm⁻³
**Energy above the lowest structure with this stoichiometry**: 0.60 eV/f.u.
**ΔE_f**: -25.8 eV/f.u.
**SG**: No. 8

```
Li4MnCo2O7
1.0
4.924 -1.433 0.000
4.924 1.433 0.000
-2.064 0.000 17.815
Li Mn Co O
8 2 4 14
Direct
0.000 0.000 0.000
0.001 0.001 0.504
0.142 0.142 0.296
0.284 0.284 0.567
0.429 0.429 0.863
0.567 0.567 0.143
0.703 0.703 0.439
0.857 0.857 0.714
0.577 0.577 0.640
0.856 0.856 0.219
0.143 0.143 0.788
0.283 0.283 0.073
0.424 0.424 0.372
0.709 0.709 0.931
0.059 0.059 0.393
0.074 0.074 0.896
0.204 0.204 0.678
0.227 0.227 0.186
0.346 0.346 0.968
0.350 0.350 0.463
0.482 0.482 0.249
0.520 0.520 0.750
0.638 0.638 0.548
0.647 0.647 0.039
0.769 0.769 0.822
0.796 0.796 0.318
0.916 0.916 0.118
0.948 0.948 0.617
```

Record 2
Below is Li5Mn2CoO8 after structural relaxation, with properties calculated at the PBE+U level.

## Properties
**ρ**: 3.875 g cm⁻³
**Energy above the lowest structure with this stoichiometry**: 0.55 eV/f.u.
**ΔE_f**: -32.0 eV/f.u.
**SG**: No. 2

```
Li5Mn2CoO8
1.0
2.888 0.000 0.000
-0.102 5.882 0.000
-0.060 -0.060 8.361
Li Mn Co O
5 2 1 8
Direct
0.000 0.000 0.000
0.000 0.000 0.500
0.000 0.500 0.000
0.498 0.757 0.220
0.502 0.243 0.780
0.493 0.753 0.763
0.507 0.247 0.237
0.000 0.500 0.500
0.001 0.027 0.250
0.013 0.477 0.252
0.477 0.733 0.515
0.499 0.749 0.979
0.501 0.251 0.021
0.523 0.267 0.485
0.987 0.523 0.748
0.999 0.973 0.750
```

Record 3
Below is Li6Mn5CoO12 after structural relaxation, with properties calculated at the PBE+U level.

## Properties
**ρ**: 3.980 g cm⁻³
**Energy above the lowest structure with this stoichiometry**: 0.09 eV/f.u.
**ΔE_f**: -48.9 eV/f.u.
**SG**: No. 2

```
Li6Mn5CoO12
1.0
5.070 0.000 0.000
2.027 4.648 0.000
1.426 0.418 10.042
Li Mn Co O
6 5 1 12
Direct
0.044 0.364 0.259
0.283 0.964 0.742
0.375 0.705 0.260
0.625 0.295 0.740
0.717 0.036 0.258
0.956 0.636 0.741
0.000 0.500 0.000
0.333 0.332 0.500
0.333 0.833 0.000
0.667 0.167 0.000
0.667 0.668 0.500
0.000 0.000 0.500
0.012 0.278 0.612
0.061 0.810 0.888
0.271 0.524 0.113
0.316 0.049 0.388
0.345 0.617 0.613
0.396 0.142 0.887
0.604 0.858 0.113
0.655 0.383 0.387
0.684 0.951 0.612
0.729 0.476 0.887
0.939 0.190 0.112
0.988 0.722 0.388
```

Record 4
Below is Li6Mn3CoO10 after structural relaxation, with properties calculated at the PBE+U level.

## Properties
**ρ**: 3.857 g cm⁻³
**Energy above the lowest structure with this stoichiometry**: 1.38 eV/f.u.
**ΔE_f**: -39.8 eV/f.u.
**SG**: No. 1

```
Li6Mn3CoO10
1.0
2.997 0.000 0.000
-0.152 5.078 0.000
-0.666 -1.344 12.032
Li Mn Co O
6 3 1 10
Direct
0.000 0.000 0.000
0.084 0.718 0.192
0.296 0.112 0.600
0.482 0.530 0.997
0.695 0.909 0.400
0.897 0.311 0.799
0.183 0.417 0.397
0.584 0.205 0.190
0.797 0.619 0.602
0.406 0.821 0.808
0.070 0.341 0.110
0.112 0.092 0.289
0.212 0.752 0.497
0.369 0.497 0.703
0.432 0.128 0.886
0.553 0.883 0.106
0.606 0.541 0.298
0.769 0.283 0.500
0.818 0.947 0.700
0.964 0.670 0.890
```

Record 5
Below is Li7Mn4CoO12 after structural relaxation, with properties calculated at the PBE+U level.

## Properties
**ρ**: 3.924 g cm⁻³
**Energy above the lowest structure with this stoichiometry**: 6.16 eV/f.u.
**ΔE_f**: -43.9 eV/f.u.
**SG**: No. 2

```
Li7Mn4CoO12
1.0
2.976 0.000 0.000
-1.212 4.952 0.000
-0.981 -1.933 14.908
Li Mn Co O
7 4 1 12
Direct
0.000 0.000 0.000
0.014 0.764 0.250
0.300 0.573 0.073
0.335 0.090 0.582
0.665 0.910 0.418
0.700 0.427 0.927
0.986 0.236 0.750
0.325 0.330 0.334
0.344 0.833 0.839
0.656 0.167 0.161
0.675 0.670 0.666
0.000 0.500 0.500
0.024 0.612 0.380
0.042 0.919 0.131
0.288 0.423 0.209
0.325 0.705 0.947
0.326 0.232 0.457
0.365 0.944 0.712
0.635 0.056 0.288
0.674 0.768 0.543
0.675 0.295 0.053
0.712 0.577 0.791
0.958 0.081 0.869
0.976 0.388 0.620
```

Record 6
Below is Li2Mn3CoO8 after structural relaxation, with properties calculated at the PBE+U level.

## Properties
**ρ**: 4.257 g cm⁻³
**Energy above the lowest structure with this stoichiometry**: 0.25 eV/f.u.
**ΔE_f**: -27.1 eV/f.u.
**SG**: No. 166

```
Li2Mn3CoO8
1.0
2.965 1.712 4.683
-2.965 1.712 4.683
0.000 -3.424 4.683
Li Mn Co O
2 3 1 8
Direct
0.123 0.123 0.123
0.877 0.877 0.877
0.000 0.500 0.500
0.500 0.000 0.500
0.500 0.500 0.000
0.500 0.500 0.500
0.260 0.260 0.260
0.265 0.265 0.707
0.265 0.707 0.265
0.293 0.735 0.735
0.707 0.265 0.265
0.735 0.293 0.735
0.735 0.735 0.293
0.740 0.740 0.740
```

Record 7
Below is Li4MnCo2O7 after structural relaxation, with properties calculated at the PBE+U level.

## Properties
**ρ**: 4.061 g cm⁻³
**Energy above the lowest structure with this stoichiometry**: 1.85 eV/f.u.
**ΔE_f**: -24.5 eV/f.u.
**SG**: No. 12

```
Li4MnCo2O7
1.0
2.622 -1.437 0.000
2.622 1.437 0.000
-2.021 0.000 33.912
Li Mn Co O
8 2 4 14
Direct
0.000 0.000 0.000
0.000 0.000 0.500
0.144 0.144 0.215
0.292 0.292 0.932
0.427 0.427 0.642
0.573 0.573 0.358
0.708 0.708 0.068
0.856 0.856 0.785
0.427 0.427 0.143
0.573 0.573 0.857
0.143 0.143 0.714
0.285 0.285 0.429
0.715 0.715 0.571
0.857 0.857 0.286
0.059 0.059 0.111
0.085 0.085 0.603
0.199 0.199 0.823
0.213 0.213 0.319
0.343 0.343 0.539
0.360 0.360 0.036
0.499 0.499 0.747
0.501 0.501 0.253
0.640 0.640 0.964
0.657 0.657 0.461
0.787 0.787 0.681
0.801 0.801 0.177
0.915 0.915 0.397
0.941 0.941 0.889
```

Copy entry 1 word for word.
Below is Li4MnCo2O7 after structural relaxation, with properties calculated at the PBE+U level.

## Properties
**ρ**: 4.130 g cm⁻³
**Energy above the lowest structure with this stoichiometry**: 0.60 eV/f.u.
**ΔE_f**: -25.8 eV/f.u.
**SG**: No. 8

```
Li4MnCo2O7
1.0
4.924 -1.433 0.000
4.924 1.433 0.000
-2.064 0.000 17.815
Li Mn Co O
8 2 4 14
Direct
0.000 0.000 0.000
0.001 0.001 0.504
0.142 0.142 0.296
0.284 0.284 0.567
0.429 0.429 0.863
0.567 0.567 0.143
0.703 0.703 0.439
0.857 0.857 0.714
0.577 0.577 0.640
0.856 0.856 0.219
0.143 0.143 0.788
0.283 0.283 0.073
0.424 0.424 0.372
0.709 0.709 0.931
0.059 0.059 0.393
0.074 0.074 0.896
0.204 0.204 0.678
0.227 0.227 0.186
0.346 0.346 0.968
0.350 0.350 0.463
0.482 0.482 0.249
0.520 0.520 0.750
0.638 0.638 0.548
0.647 0.647 0.039
0.769 0.769 0.822
0.796 0.796 0.318
0.916 0.916 0.118
0.948 0.948 0.617
```